1.
# Ca2CrWO6, relaxed, DFT GGA+U
data_Ca2CrWO6
_space_group_name_H-M_alt 'P 1'
_space_group_IT_number 1
_cell_length_a 5.510
_cell_length_b 5.519
_cell_length_c 9.627
_cell_angle_alpha 73.63
_cell_angle_beta 74.05
_cell_angle_gamma 60.36
loop_
_space_group_symop_operation_xyz
'x,y,z'
loop_
_atom_site_label
_atom_site_type_symbol
_atom_site_fract_x
_atom_site_fract_y
_atom_site_fract_z
_atom_site_occupancy
Ca1 Ca 0.000 0.000 0.000 1
Ca2 Ca 0.219 0.245 0.250 1
Ca3 Ca 0.498 0.499 0.502 1
Ca4 Ca 0.720 0.746 0.749 1
Cr1 Cr 0.109 0.123 0.626 1
Cr2 Cr 0.609 0.623 0.126 1
W1 W 0.358 0.373 0.876 1
W2 W 0.859 0.873 0.375 1
O1 O 0.016 0.420 0.032 1
O2 O 0.078 0.498 0.502 1
O3 O 0.139 0.747 0.750 1
O4 O 0.201 0.827 0.218 1
O5 O 0.255 0.173 0.780 1
O6 O 0.460 0.575 0.971 1
O7 O 0.513 0.924 0.531 1
O8 O 0.583 0.997 0.000 1
O9 O 0.633 0.250 0.252 1
O10 O 0.703 0.320 0.720 1
O11 O 0.757 0.671 0.280 1
O12 O 0.963 0.072 0.471 1
# energy above the lowest structure with this stoichiometry: 1.8 kJ/mol of atoms
# symmetry: No. 1
# formation energy: -2671 kJ/mol of formula units

2.
# CaCrW2O4, relaxed, DFT GGA+U
data_CaCrW2O4
_space_group_name_H-M_alt 'P 1'
_space_group_IT_number 1
_cell_length_a 6.437
_cell_length_b 17.395
_cell_length_c 9.756
_cell_angle_alpha 90.00
_cell_angle_beta 90.00
_cell_angle_gamma 90.00
loop_
_space_group_symop_operation_xyz
'x,y,z'
loop_
_atom_site_label
_atom_site_type_symbol
_atom_site_fract_x
_atom_site_fract_y
_atom_site_fract_z
_atom_site_occupancy
Ca1 Ca 0.111 0.039 0.250 1
Ca2 Ca 0.111 0.461 0.750 1
Ca3 Ca 0.296 0.684 0.750 1
Ca4 Ca 0.296 0.816 0.250 1
Ca5 Ca 0.704 0.184 0.750 1
Ca6 Ca 0.704 0.316 0.250 1
Ca7 Ca 0.889 0.539 0.250 1
Ca8 Ca 0.889 0.961 0.750 1
Cr1 Cr 0.112 0.137 0.569 1
Cr2 Cr 0.112 0.137 0.931 1
Cr3 Cr 0.112 0.363 0.069 1
Cr4 Cr 0.112 0.363 0.431 1
Cr5 Cr 0.888 0.637 0.569 1
Cr6 Cr 0.888 0.637 0.931 1
Cr7 Cr 0.888 0.863 0.069 1
Cr8 Cr 0.888 0.863 0.431 1
W1 W 0.279 0.236 0.250 1
W2 W 0.279 0.264 0.750 1
W3 W 0.361 0.012 0.750 1
W4 W 0.361 0.488 0.250 1
W5 W 0.446 0.639 0.078 1
W6 W 0.446 0.639 0.422 1
W7 W 0.446 0.861 0.578 1
W8 W 0.446 0.861 0.922 1
W9 W 0.554 0.139 0.078 1
W10 W 0.554 0.139 0.422 1
W11 W 0.554 0.361 0.578 1
W12 W 0.554 0.361 0.922 1
W13 W 0.639 0.512 0.750 1
W14 W 0.639 0.988 0.250 1
W15 W 0.721 0.736 0.250 1
W16 W 0.721 0.764 0.750 1
O1 O 0.178 0.026 0.594 1
O2 O 0.178 0.026 0.906 1
O3 O 0.178 0.474 0.094 1
O4 O 0.178 0.474 0.406 1
O5 O 0.188 0.641 0.539 1
O6 O 0.188 0.641 0.961 1
O7 O 0.188 0.859 0.039 1
O8 O 0.188 0.859 0.461 1
O9 O 0.225 0.138 0.121 1
O10 O 0.225 0.138 0.379 1
O11 O 0.225 0.362 0.621 1
O12 O 0.225 0.362 0.879 1
O13 O 0.401 0.176 0.612 1
O14 O 0.401 0.176 0.888 1
O15 O 0.401 0.324 0.112 1
O16 O 0.401 0.324 0.388 1
O17 O 0.599 0.676 0.612 1
O18 O 0.599 0.676 0.888 1
O19 O 0.599 0.824 0.112 1
O20 O 0.599 0.824 0.388 1
O21 O 0.775 0.638 0.121 1
O22 O 0.775 0.638 0.379 1
O23 O 0.775 0.862 0.621 1
O24 O 0.775 0.862 0.879 1
O25 O 0.812 0.141 0.539 1
O26 O 0.812 0.141 0.961 1
O27 O 0.812 0.359 0.039 1
O28 O 0.812 0.359 0.461 1
O29 O 0.822 0.526 0.594 1
O30 O 0.822 0.526 0.906 1
O31 O 0.822 0.974 0.094 1
O32 O 0.822 0.974 0.406 1
# symmetry: No. 57
# formation energy: -871 kJ/mol of formula units

3.
# Ca2CrWO6, relaxed, DFT GGA+U
data_Ca2CrWO6
_space_group_name_H-M_alt 'P 1'
_space_group_IT_number 1
_cell_length_a 5.529
_cell_length_b 5.530
_cell_length_c 7.875
_cell_angle_alpha 90.71
_cell_angle_beta 90.23
_cell_angle_gamma 90.39
loop_
_space_group_symop_operation_xyz
'x,y,z'
loop_
_atom_site_label
_atom_site_type_symbol
_atom_site_fract_x
_atom_site_fract_y
_atom_site_fract_z
_atom_site_occupancy
W1 W 0.009 0.006 0.991 1
Ca1 Ca 0.519 0.015 0.748 1
O1 O 0.708 0.814 0.991 1
O2 O 0.961 0.064 0.741 1
O3 O 0.460 0.564 0.241 1
Cr1 Cr 0.509 0.506 0.991 1
O4 O 0.809 0.306 0.039 1
O5 O 0.209 0.706 0.942 1
O6 O 0.557 0.449 0.741 1
O7 O 0.308 0.806 0.539 1
Ca2 Ca 0.019 0.515 0.248 1
O8 O 0.809 0.700 0.490 1
O9 O 0.310 0.199 0.990 1
O10 O 0.709 0.207 0.442 1
Ca3 Ca 0.498 0.998 0.233 1
O11 O 0.057 0.949 0.241 1
W2 W 0.509 0.507 0.491 1
Ca4 Ca 0.998 0.498 0.733 1
O12 O 0.208 0.314 0.491 1
Cr2 Cr 0.009 0.007 0.491 1
# energy above the lowest structure with this stoichiometry: 1.8 kJ/mol of atoms
# formation energy: -2672 kJ/mol of formula units

Among the records above, which one has the lowest formation energy?
number 3

formation energy of number 1 (Ca2CrWO6)?
-2671 kJ/mol of formula units

What did the first record say?
# Ca2CrWO6, relaxed, DFT GGA+U
data_Ca2CrWO6
_space_group_name_H-M_alt 'P 1'
_space_group_IT_number 1
_cell_length_a 5.510
_cell_length_b 5.519
_cell_length_c 9.627
_cell_angle_alpha 73.63
_cell_angle_beta 74.05
_cell_angle_gamma 60.36
loop_
_space_group_symop_operation_xyz
'x,y,z'
loop_
_atom_site_label
_atom_site_type_symbol
_atom_site_fract_x
_atom_site_fract_y
_atom_site_fract_z
_atom_site_occupancy
Ca1 Ca 0.000 0.000 0.000 1
Ca2 Ca 0.219 0.245 0.250 1
Ca3 Ca 0.498 0.499 0.502 1
Ca4 Ca 0.720 0.746 0.749 1
Cr1 Cr 0.109 0.123 0.626 1
Cr2 Cr 0.609 0.623 0.126 1
W1 W 0.358 0.373 0.876 1
W2 W 0.859 0.873 0.375 1
O1 O 0.016 0.420 0.032 1
O2 O 0.078 0.498 0.502 1
O3 O 0.139 0.747 0.750 1
O4 O 0.201 0.827 0.218 1
O5 O 0.255 0.173 0.780 1
O6 O 0.460 0.575 0.971 1
O7 O 0.513 0.924 0.531 1
O8 O 0.583 0.997 0.000 1
O9 O 0.633 0.250 0.252 1
O10 O 0.703 0.320 0.720 1
O11 O 0.757 0.671 0.280 1
O12 O 0.963 0.072 0.471 1
# energy above the lowest structure with this stoichiometry: 1.8 kJ/mol of atoms
# symmetry: No. 1
# formation energy: -2671 kJ/mol of formula units